# 1
Entry from the Materials Project: an optimized crystal structure of Sr4Al14O25 (r2SCAN).

Unit cell a=4.8823 b=8.4806 c=24.7697 alpha=90.00 beta=90.00 gamma=90.00
Atoms (fractional coordinates):
Al: 0.0000 0.5000 0.5000
Al: 0.3743 0.8052 0.1855
Al: 0.6257 0.1948 0.8145
Al: 0.4932 0.3220 0.4338
Al: 0.1298 0.7037 0.7500
Al: 0.3743 0.8052 0.3145
Al: 0.1298 0.2963 0.7500
Al: 0.4932 0.6780 0.0662
Al: 0.5000 0.0000 0.5000
Al: 0.8702 0.2963 0.2500
Al: 0.0000 0.8323 0.0000
Al: 0.0000 0.1677 0.0000
Al: 0.5068 0.3220 0.9338
Al: 0.6257 0.8052 0.6855
Al: 0.0000 0.5000 0.0000
Al: 0.5000 0.0000 0.0000
Al: 0.4932 0.6780 0.4338
Al: 0.6257 0.8052 0.8145
Al: 0.6257 0.1948 0.6855
Al: 0.5068 0.6780 0.9338
Al: 0.3743 0.1948 0.1855
Al: 0.0000 0.1677 0.5000
Al: 0.5068 0.6780 0.5662
Al: 0.3743 0.1948 0.3145
Al: 0.8702 0.7037 0.2500
Al: 0.0000 0.8323 0.5000
Al: 0.4932 0.3220 0.0662
Al: 0.5068 0.3220 0.5662
O: 0.8481 0.3371 0.5429
O: 0.4993 0.3229 0.1369
O: 0.6747 0.5000 0.4503
O: 0.1519 0.3371 0.0429
O: 0.8481 0.6629 0.5429
O: 0.5007 0.3229 0.8631
O: 0.5007 0.3229 0.6369
O: 0.6768 0.1595 0.0428
O: 0.5007 0.6771 0.8631
O: 0.3232 0.8405 0.5428
O: 0.4993 0.6771 0.1369
O: 0.3232 0.1595 0.5428
O: 0.8481 0.3371 0.9571
O: 0.8481 0.6629 0.9571
O: 0.3253 0.5000 0.9503
O: 0.0208 0.2278 0.3096
O: 0.4993 0.6771 0.3631
O: 0.1519 0.6629 0.4571
O: 0.0208 0.7722 0.3096
O: 0.6747 0.5000 0.0497
O: 0.9792 0.2278 0.8096
O: 0.8285 0.0000 0.5388
O: 0.9792 0.7722 0.6904
O: 0.4224 0.0000 0.1660
O: 0.6768 0.8405 0.0428
O: 0.0208 0.2278 0.1904
O: 0.3253 0.5000 0.5497
O: 0.3232 0.8405 0.9572
O: 0.5239 0.7680 0.2500
O: 0.4224 0.0000 0.3340
O: 0.1105 0.5000 0.7500
O: 0.1519 0.3371 0.4571
O: 0.6768 0.1595 0.4572
O: 0.5239 0.2320 0.2500
O: 0.1519 0.6629 0.0429
O: 0.8285 0.0000 0.9612
O: 0.5776 0.0000 0.8340
O: 0.9792 0.7722 0.8096
O: 0.1715 0.0000 0.4612
O: 0.3232 0.1595 0.9572
O: 0.5776 0.0000 0.6660
O: 0.8895 0.5000 0.2500
O: 0.6768 0.8405 0.4572
O: 0.9792 0.2278 0.6904
O: 0.0208 0.7722 0.1904
O: 0.5007 0.6771 0.6369
O: 0.4993 0.3229 0.3631
O: 0.4761 0.2320 0.7500
O: 0.1715 0.0000 0.0388
O: 0.4761 0.7680 0.7500
Sr: 0.1112 0.0000 0.8794
Sr: 0.8888 0.0000 0.3794
Sr: 0.0360 0.5000 0.6381
Sr: 0.1112 0.0000 0.6206
Sr: 0.0360 0.5000 0.8619
Sr: 0.8888 0.0000 0.1206
Sr: 0.9640 0.5000 0.1381
Sr: 0.9640 0.5000 0.3619

For the energy relative to the elements, the calculation gives -3.367 eV/atom. The uncorrected energy is -897.83 eV for the cell shown. The symmetry is Pmma, No. 51.


# 2
Entry from the Materials Project: an optimized crystal structure of Al2Te4O11 (r2SCAN).

Unit cell a=7.5081 b=6.8578 c=9.5476 alpha=79.68 beta=90.00 gamma=90.00
Atoms (fractional coordinates):
O: 0.1458 0.6686 0.5137
O: 0.8795 0.2893 0.2168
O: 0.3542 0.6686 0.0137
O: 0.5000 0.0000 0.5000
O: 0.6353 0.9417 0.9506
O: 0.6458 0.3314 0.9863
O: 0.1353 0.0583 0.5494
O: 0.3647 0.0583 0.0494
O: 0.3692 0.0336 0.7691
O: 0.6205 0.2893 0.7168
O: 0.6811 0.6278 0.1501
O: 0.8542 0.3314 0.4863
O: 0.8189 0.6278 0.6501
O: 0.1205 0.7107 0.7832
O: 0.8692 0.9664 0.7309
O: 0.1811 0.3722 0.3499
O: 0.0000 0.0000 0.0000
O: 0.8647 0.9417 0.4506
O: 0.1308 0.0336 0.2691
O: 0.3795 0.7107 0.2832
O: 0.3189 0.3722 0.8499
O: 0.6308 0.9664 0.2309
Te: 0.6436 0.8226 0.4149
Te: 0.1436 0.1774 0.0851
Te: 0.1393 0.6486 0.3212
Te: 0.3564 0.1774 0.5851
Te: 0.3607 0.6486 0.8212
Te: 0.8607 0.3514 0.6788
Te: 0.8564 0.8226 0.9149
Te: 0.6393 0.3514 0.1788
Al: 0.5019 0.1815 0.8860
Al: 0.4981 0.8185 0.1140
Al: 0.9981 0.1815 0.3860
Al: 0.0019 0.8185 0.6140

For the energy relative to the elements, the calculation gives -1.774 eV/atom. The uncorrected energy is -421.96 eV for the cell shown. The symmetry is P2_1/c, No. 14.


Number 1: calculated volume 1025.6 Å³ per cell. Number 2: calculated volume 483.6 Å³ per cell.